DFT (PBE) results for an optimized crystal structure of CeBr3O7.

```
22
Lattice="0.1607 -1.7590 -7.8139 6.6822 -1.3589 -1.3861 -1.0028 -7.8720 0.9391" Properties=species:S:1:pos:R:3 pbc="T T T"
O 0.1097 -1.5820 -2.4332
O 2.2439 -5.1432 -2.1653
O 6.0761 -1.2541 -1.3127
O -0.3381 -4.4021 -1.8306
O 2.2772 -8.4657 -7.6541
O 4.8127 -6.3067 -0.9686
O -0.2360 -9.7358 -6.9481
O 2.9101 -8.7737 -4.8622
O 2.9299 -2.2162 -3.3987
O 5.7303 -9.4079 -5.8276
O 3.5962 -5.8467 -6.0955
O 1.0274 -4.6832 -7.2923
O 3.5629 -2.5242 -0.6067
O 6.1781 -6.5878 -6.4303
Br 4.7438 -5.5755 -2.5622
Br 4.7290 -2.3919 -3.8277
Br 1.6516 -6.6730 -1.5182
Br 4.1885 -4.3169 -6.7426
Br 1.1111 -8.5980 -4.4332
Br 1.0962 -5.4144 -5.6986
Ce 1.4556 -2.8523 -1.7011
Ce 4.3845 -8.1376 -6.5598
```

Output
Its energy with MP2020 corrections is -4.88 eV/atom. The calculation puts the raw total energy at -4.78 eV/atom. Its space group is P-1, No. 2. As for the formation energy from the elements: -748.2 meV per atom. The calculation puts the energy above the most stable polymorph in this dataset at 0.0 kJ/mol of atoms.